1.
This record from the Materials Project database describes a relaxed structure of TiSn4N4. The functional is GGA-PBE.

ρ = 5.7 g/cm³
E (MP2020) = -0.4827 Ry/atom
Volume = 169.4 Å³/f.u.
Magnetic moment = 0.000 μB per atom
Formation enthalpy at 0 K = -0.20 eV/atom

abc: 6.527 6.528 9.165
angles: 104.50 104.87 106.65
Positions (direct):
Ti (0.199, 0.450, 0.250)
Ti (0.801, 0.550, 0.750)
Sn (0.009, 0.760, 0.132)
Sn (0.285, 0.066, 0.542)
Sn (0.374, 0.624, 0.633)
Sn (0.475, 0.756, 0.041)
Sn (0.525, 0.244, 0.959)
Sn (0.626, 0.376, 0.367)
Sn (0.715, 0.934, 0.458)
Sn (0.991, 0.240, 0.868)
N (0.098, 0.620, 0.906)
N (0.285, 0.309, 0.407)
N (0.305, 0.781, 0.354)
N (0.426, 0.451, 0.146)
N (0.574, 0.549, 0.854)
N (0.695, 0.219, 0.646)
N (0.715, 0.691, 0.593)
N (0.902, 0.380, 0.094)

=====

2.
This record from the Materials Project database describes a relaxed structure of HgBi2S4. The functional is GGA-PBE.

ρ = 6.7 g/cm³
E (MP2020) = -0.3015 Ry/atom
Volume = 186.5 Å³/f.u.
Formation enthalpy at 0 K = -0.58 eV/atom

abc: 7.541 7.541 14.282
angles: 117.59 117.59 31.59
Positions (direct):
Hg (0.000, 0.000, 0.000)
Hg (0.000, 0.000, 0.500)
Bi (0.224, 0.224, 0.869)
Bi (0.348, 0.348, 0.636)
Bi (0.652, 0.652, 0.364)
Bi (0.776, 0.776, 0.131)
S (0.001, 0.001, 0.332)
S (0.156, 0.156, 0.170)
S (0.308, 0.308, 0.436)
S (0.371, 0.371, 0.072)
S (0.629, 0.629, 0.928)
S (0.692, 0.692, 0.564)
S (0.844, 0.844, 0.830)
S (0.999, 0.999, 0.668)

=====

3.
This record from the Materials Project database describes a relaxed structure of Sc4Ge19Rh6. The functional is GGA-PBE.

ρ = 6.8 g/cm³
Volume = 531.7 Å³/f.u.
Magnetic moment = 0.000 μB per atom
Formation enthalpy at 0 K = -0.15 eV/atom

abc: 8.840 8.840 8.840
angles: 109.47 109.47 109.47
Positions (direct):
Sc (0.000, 0.000, 0.353)
Sc (0.000, 0.353, 0.000)
Sc (0.353, 0.000, 0.000)
Sc (0.647, 0.647, 0.647)
Ge (0.000, 0.000, 0.000)
Ge (0.000, 0.300, 0.300)
Ge (0.000, 0.700, 0.700)
Ge (0.002, 0.222, 0.668)
Ge (0.220, 0.998, 0.666)
Ge (0.222, 0.668, 0.002)
Ge (0.300, 0.000, 0.300)
Ge (0.300, 0.300, 0.000)
Ge (0.332, 0.554, 0.334)
Ge (0.334, 0.332, 0.554)
Ge (0.446, 0.778, 0.780)
Ge (0.554, 0.334, 0.332)
Ge (0.666, 0.220, 0.998)
Ge (0.668, 0.002, 0.222)
Ge (0.700, 0.000, 0.700)
Ge (0.700, 0.700, 0.000)
Ge (0.778, 0.780, 0.446)
Ge (0.780, 0.446, 0.778)
Ge (0.998, 0.666, 0.220)
Rh (0.142, 0.500, 0.642)
Rh (0.358, 0.858, 0.500)
Rh (0.500, 0.358, 0.858)
Rh (0.500, 0.642, 0.142)
Rh (0.642, 0.142, 0.500)
Rh (0.858, 0.500, 0.358)